A plane-wave DFT calculation with PBE-GGA was carried out for a geometry-optimized Rb2Mg2S3O12 structure.

a b c (Å): 10.150 10.150 10.150
angles (deg): 90.00 90.00 90.00
Sites, in units of the cell vectors:
Rb: 0.048 0.048 0.048
Rb: 0.452 0.952 0.548
Rb: 0.952 0.548 0.452
Rb: 0.548 0.452 0.952
Rb: 0.817 0.817 0.817
Rb: 0.683 0.183 0.317
Rb: 0.183 0.317 0.683
Rb: 0.317 0.683 0.183
Mg: 0.335 0.335 0.335
Mg: 0.165 0.665 0.835
Mg: 0.665 0.835 0.165
Mg: 0.835 0.165 0.665
Mg: 0.599 0.599 0.599
Mg: 0.901 0.401 0.099
Mg: 0.401 0.099 0.901
Mg: 0.099 0.901 0.401
S: 0.018 0.216 0.376
S: 0.482 0.784 0.876
S: 0.982 0.716 0.124
S: 0.376 0.018 0.216
S: 0.518 0.284 0.624
S: 0.876 0.482 0.784
S: 0.124 0.982 0.716
S: 0.624 0.518 0.284
S: 0.216 0.376 0.018
S: 0.716 0.124 0.982
S: 0.284 0.624 0.518
S: 0.784 0.876 0.482
O: 0.010 0.076 0.331
O: 0.490 0.924 0.831
O: 0.990 0.576 0.169
O: 0.331 0.010 0.076
O: 0.510 0.424 0.669
O: 0.831 0.490 0.924
O: 0.169 0.990 0.576
O: 0.669 0.510 0.424
O: 0.076 0.331 0.010
O: 0.576 0.169 0.990
O: 0.424 0.669 0.510
O: 0.924 0.831 0.490
O: 0.266 0.500 0.441
O: 0.234 0.500 0.941
O: 0.734 0.000 0.059
O: 0.441 0.266 0.500
O: 0.766 0.000 0.559
O: 0.941 0.234 0.500
O: 0.059 0.734 0.000
O: 0.559 0.766 0.000
O: 0.500 0.441 0.266
O: 0.000 0.059 0.734
O: 0.000 0.559 0.766
O: 0.500 0.941 0.234
O: 0.041 0.803 0.226
O: 0.459 0.197 0.726
O: 0.959 0.303 0.274
O: 0.226 0.041 0.803
O: 0.541 0.697 0.774
O: 0.726 0.459 0.197
O: 0.274 0.959 0.303
O: 0.774 0.541 0.697
O: 0.803 0.226 0.041
O: 0.303 0.274 0.959
O: 0.697 0.774 0.541
O: 0.197 0.726 0.459
O: 0.157 0.254 0.401
O: 0.343 0.746 0.901
O: 0.843 0.754 0.099
O: 0.401 0.157 0.254
O: 0.657 0.246 0.599
O: 0.901 0.343 0.746
O: 0.099 0.843 0.754
O: 0.599 0.657 0.246
O: 0.254 0.401 0.157
O: 0.754 0.099 0.843
O: 0.246 0.599 0.657
O: 0.746 0.901 0.343

The value obtained for the calculated total energy is -5.998 eV per atom. The value obtained for the calculated formation energy is -2383 meV/atom. The calculation puts the MP2020-corrected energy at -6.432 eV per atom.